No. 1
A plane-wave DFT calculation with PBE was carried out for a relaxed Na4TeH10Se2O16 crystal.

Energy relative to the elements = -1164.3 meV/atom
Space group = P2_1/c
Crystal system = monoclinic
E_tot = -311.9 eV per cell
M_tot = 4.005 μB per cell
Energy with MP2020 corrections = -333.9 eV per cell
Polymorph energy (0 for the lowest one) = 161 meV per atom
Mass density = 2.71 g/cm³

a = 12.6726 Å, b = 6.1788 Å, c = 10.9067 Å
α = 67.53°, β = 90.00°, γ = 90.00°
Closest atoms and distances in Å follow each position.
Fractional coordinates of all 66 atoms:
Na (0.7244, 0.8758, 0.2307)  5 O 2.34-2.59, 1 H 2.37
Na (0.2756, 0.1242, 0.7693)  5 O 2.34-2.59, 1 H 2.37
Na (0.9690, 0.3769, 0.1481)  4 O 2.37-2.59, 1 H 2.58
Na (0.5310, 0.3769, 0.6481)  4 O 2.37-2.59, 1 H 2.58
Na (0.2244, 0.1242, 0.2693)  5 O 2.34-2.59, 1 H 2.37
Na (0.7756, 0.8758, 0.7307)  5 O 2.34-2.59, 1 H 2.37
Na (0.4690, 0.6231, 0.3519)  4 O 2.37-2.59, 1 H 2.58
Na (0.0310, 0.6231, 0.8519)  4 O 2.37-2.59, 1 H 2.58
Te (0.0000, 0.0000, 0.5000)  6 O 2.16-2.37
Te (0.5000, 0.0000, 0.0000)  6 O 2.16-2.37
H (0.1233, 0.9980, 0.0174)  1 O 0.98
H (0.3767, 0.9980, 0.5174)  1 O 0.98
H (0.6233, 0.0020, 0.4826)  1 O 0.98
H (0.6290, 0.8766, 0.8652)  1 O 1.00
H (0.8767, 0.0020, 0.9826)  1 O 0.98
H (0.4529, 0.7438, 0.7313)  1 O 0.98
H (0.0471, 0.7438, 0.2313)  1 O 0.98
H (0.9322, 0.6778, 0.2542)  1 O 0.99
H (0.1290, 0.1234, 0.6348)  1 O 1.00
H (0.8710, 0.8766, 0.3652)  1 O 1.00
H (0.7562, 0.0481, 0.9481)  1 O 0.99
H (0.5678, 0.6778, 0.7542)  1 O 0.99
H (0.3710, 0.1234, 0.1348)  1 O 1.00
H (0.5471, 0.2562, 0.2687)  1 O 0.98
H (0.9529, 0.2562, 0.7687)  1 O 0.98
H (0.4322, 0.3222, 0.2458)  1 O 0.99
H (0.2438, 0.9519, 0.0519)  1 O 0.99
H (0.0678, 0.3222, 0.7458)  1 O 0.99
H (0.7438, 0.0481, 0.4481)  1 O 0.99
H (0.2562, 0.9519, 0.5519)  1 O 0.99
Se (0.7100, 0.4361, 0.0260)  2 O 1.68-1.82
Se (0.2900, 0.5639, 0.9740)  2 O 1.68-1.82
Se (0.7900, 0.4361, 0.5260)  2 O 1.68-1.82
Se (0.2100, 0.5639, 0.4740)  2 O 1.68-1.82
O (0.8412, 0.5907, 0.3761)  1 Se 1.68, 2 H 1.69-1.77
O (0.1142, 0.7994, 0.4075)  1 Se 1.82
O (0.4381, 0.3310, 0.8628)  1 O 1.44
O (0.1588, 0.4093, 0.6239)  1 Se 1.68, 2 H 1.69-1.77
O (0.9829, 0.7483, 0.1800)  2 H 0.98-0.99
O (0.8858, 0.2006, 0.5925)  1 Se 1.82
O (0.6325, 0.6658, 0.4448)  1 H 2.27, 2 Na 2.37-2.49, 1 Se 2.41
O (0.5171, 0.7483, 0.6800)  2 H 0.98-0.99
O (0.6721, 0.6227, 0.1275)  1 O 1.44
O (0.3279, 0.3773, 0.8725)  1 O 1.44
O (0.3675, 0.3342, 0.5552)  1 H 2.27, 2 Na 2.37-2.49, 1 Se 2.41
O (0.8139, 0.0748, 0.0018)  2 H 0.98-0.99
O (0.1325, 0.3342, 0.0552)  1 H 2.27, 2 Na 2.37-2.49, 1 Se 2.41
O (0.1861, 0.9252, 0.9982)  2 H 0.98-0.99
O (0.0171, 0.2517, 0.8200)  2 H 0.98-0.99
O (0.8279, 0.6227, 0.6275)  1 O 1.44
O (0.3412, 0.4093, 0.1239)  1 Se 1.68, 2 H 1.69-1.77
O (0.4829, 0.2517, 0.3200)  2 H 0.98-0.99
O (0.8775, 0.0436, 0.3550)  1 H 1.00
O (0.3858, 0.7994, 0.9075)  1 Se 1.82
O (0.6588, 0.5907, 0.8761)  1 Se 1.68, 2 H 1.69-1.77
O (0.5619, 0.6690, 0.1372)  1 O 1.44
O (0.1225, 0.9564, 0.6450)  1 H 1.00
O (0.3775, 0.9564, 0.1450)  1 H 1.00
O (0.8675, 0.6658, 0.9448)  1 H 2.27, 2 Na 2.37-2.49, 1 Se 2.41
O (0.3139, 0.9252, 0.4982)  2 H 0.98-0.99
O (0.6225, 0.0436, 0.8550)  1 H 1.00
O (0.0619, 0.3310, 0.3628)  1 O 1.44
O (0.1721, 0.3773, 0.3725)  1 O 1.44
O (0.6861, 0.0748, 0.5018)  2 H 0.98-0.99
O (0.6142, 0.2006, 0.0925)  1 Se 1.82
O (0.9381, 0.6690, 0.6372)  1 O 1.44

=====

No. 2
A plane-wave DFT calculation with PBE was carried out for a relaxed In2Se3 crystal.

Energy relative to the elements = -801.8 meV/atom
Space group = P6_1
Largest piezoelectric modulus = 0.16 C/m²
Crystal system = hexagonal
E_tot = -111.5 eV per cell
Energy with MP2020 corrections = -120.0 eV per cell
Mass density = 5.04 g/cm³

a = 7.3415 Å, b = 7.3415 Å, c = 19.7664 Å
α = 90.00°, β = 90.00°, γ = 120.00°
Closest atoms and distances in Å follow each position.
Fractional coordinates of all 30 atoms:
In (0.3261, 0.9858, 0.9996)  4 Se 2.60-2.68
In (0.0142, 0.3404, 0.3329)  4 Se 2.60-2.68
In (0.0107, 0.6963, 0.4721)  4 Se 2.64-2.89
In (0.9893, 0.3037, 0.9721)  4 Se 2.64-2.89
In (0.9858, 0.6596, 0.8329)  4 Se 2.60-2.68
In (0.3404, 0.3261, 0.1663)  4 Se 2.60-2.68
In (0.6596, 0.6739, 0.6663)  4 Se 2.60-2.68
In (0.6739, 0.0142, 0.4996)  4 Se 2.60-2.68
In (0.3143, 0.0107, 0.6387)  4 Se 2.64-2.89
In (0.3037, 0.3143, 0.8054)  4 Se 2.64-2.89
In (0.6857, 0.9893, 0.1387)  4 Se 2.64-2.89
In (0.6963, 0.6857, 0.3054)  4 Se 2.64-2.89
Se (0.6953, 0.0401, 0.6349)  3 In 2.64-2.70
Se (0.6383, 0.6647, 0.4543)  2 In 2.60-2.65
Se (0.9319, 0.2790, 0.8270)  3 In 2.62-2.89
Se (0.9736, 0.6383, 0.6210)  2 In 2.60-2.65
Se (0.3448, 0.3047, 0.3016)  3 In 2.64-2.70
Se (0.0681, 0.7210, 0.3270)  3 In 2.62-2.89
Se (0.9599, 0.6552, 0.9683)  3 In 2.64-2.70
Se (0.6647, 0.0264, 0.2877)  2 In 2.60-2.65
Se (0.3047, 0.9599, 0.1349)  3 In 2.64-2.70
Se (0.2790, 0.3471, 0.6603)  3 In 2.62-2.89
Se (0.6529, 0.9319, 0.9936)  3 In 2.62-2.89
Se (0.3471, 0.0681, 0.4936)  3 In 2.62-2.89
Se (0.6552, 0.6953, 0.8016)  3 In 2.64-2.70
Se (0.3353, 0.9736, 0.7877)  2 In 2.60-2.65
Se (0.7210, 0.6529, 0.1603)  3 In 2.62-2.89
Se (0.3617, 0.3353, 0.9543)  2 In 2.60-2.65
Se (0.0264, 0.3617, 0.1210)  2 In 2.60-2.65
Se (0.0401, 0.3448, 0.4683)  3 In 2.64-2.70

=====

No. 3
A plane-wave DFT calculation with PBE was carried out for a relaxed EuGe3Ir crystal.

Energy relative to the elements = -601.7 meV/atom
Space group = I4mm
Crystal system = tetragonal
E_tot = -36.0 eV per cell
M_tot = 6.796 μB per cell
Mass density = 9.21 g/cm³

a = 5.9732 Å, b = 5.9732 Å, c = 5.9732 Å
α = 136.03°, β = 136.03°, γ = 63.93°
Closest atoms and distances in Å follow each position.
Fractional coordinates of all 5 atoms:
Eu (0.0004, 0.0004, 0.0000)  12 Ge 3.28-3.42, 5 Ir 3.52
Ge (0.2451, 0.7451, 0.5000)  2 Ir 2.47
Ge (0.7451, 0.2451, 0.5000)  2 Ir 2.47
Ge (0.5844, 0.5844, 0.0000)  1 Ir 2.40
Ir (0.3477, 0.3477, 0.0000)  5 Ge 2.40-2.47

=====

No. 4
A plane-wave DFT calculation with PBE was carried out for a relaxed YWN3 crystal.

Energy relative to the elements = -1185.2 meV/atom
Space group = Cmcm
Crystal system = orthorhombic
E_tot = -98.6 eV per cell
M_tot = 0.001 μB per cell
Energy with MP2020 corrections = -100.7 eV per cell
Mass density = 7.50 g/cm³

a = 6.8488 Å, b = 6.8488 Å, c = 6.0706 Å
α = 90.00°, β = 90.00°, γ = 150.71°
Closest atoms and distances in Å follow each position.
Fractional coordinates of all 10 atoms:
Y (0.6853, 0.3147, 0.2500)  7 N 2.40-2.50
Y (0.3147, 0.6853, 0.7500)  7 N 2.40-2.50
W (0.0707, 0.9293, 0.7500)  4 N 1.84-1.95
W (0.9293, 0.0707, 0.2500)  4 N 1.84-1.95
N (0.1600, 0.8400, 0.9820)  1 W 1.84
N (0.8400, 0.1600, 0.4820)  1 W 1.84
N (0.5032, 0.4968, 0.7500)  2 W 1.95
N (0.8400, 0.1600, 0.0180)  1 W 1.84
N (0.1600, 0.8400, 0.5180)  1 W 1.84
N (0.4968, 0.5032, 0.2500)  2 W 1.95

=====

Look up the mass density of the second one.
5.04 g/cm³